Entry 1:
{
  "formula": "Te2MoWSe2",
  "functional": "GGA-PBE",
  "state": "optimized geometry",
  "cell": [[1.7192, -2.9777, 0.0000], [1.7192, 2.9777, 0.0000], [0.0000, 0.0000, 39.1414]],
  "species": ["Te", "Te", "Te", "Te", "Mo", "Mo", "W", "W", "Se", "Se", "Se", "Se"],
  "frac_coords": [[0.0000, 0.0000, 0.7049], [0.3333, 0.6667, 0.4219], [0.3333, 0.6667, 0.5173], [0.0000, 0.0000, 0.6102], [0.0000, 0.0000, 0.0939], [0.3333, 0.6667, 0.6576], [0.0000, 0.0000, 0.4697], [0.3333, 0.6667, 0.2818], [0.0000, 0.0000, 0.3237], [0.3333, 0.6667, 0.0521], [0.3333, 0.6667, 0.1357], [0.0000, 0.0000, 0.2399]],
  "sg": "P3m1"
}


Entry 2:
{
  "formula": "Te2MoWSe2",
  "functional": "GGA-PBE",
  "state": "optimized geometry",
  "cell": [[1.7179, -2.9754, 0.0000], [1.7179, 2.9754, 0.0000], [0.0000, 0.0000, 39.1477]],
  "species": ["Te", "Te", "Te", "Te", "Mo", "Mo", "W", "W", "Se", "Se", "Se", "Se"],
  "frac_coords": [[0.3333, 0.6667, 0.9535], [0.6667, 0.3333, 0.0465], [0.6667, 0.3333, 0.1414], [0.3333, 0.6667, 0.8586], [0.3333, 0.6667, 0.0940], [0.6667, 0.3333, 0.9060], [0.3333, 0.6667, 0.7182], [0.6667, 0.3333, 0.2818], [0.3333, 0.6667, 0.3238], [0.6667, 0.3333, 0.6762], [0.6667, 0.3333, 0.7602], [0.3333, 0.6667, 0.2398]],
  "sg": "P-3m1"
}


Entry 3:
{
  "formula": "Te2MoWSe2",
  "functional": "GGA-PBE",
  "state": "optimized geometry",
  "cell": [[1.7188, -2.9771, 0.0000], [1.7188, 2.9771, 0.0000], [0.0000, 0.0000, 39.1411]],
  "species": ["Te", "Te", "Te", "Te", "Mo", "Mo", "W", "W", "Se", "Se", "Se", "Se"],
  "frac_coords": [[0.0000, 0.0000, 0.3294], [0.3333, 0.6667, 0.4223], [0.3333, 0.6667, 0.5171], [0.0000, 0.0000, 0.2341], [0.0000, 0.0000, 0.0939], [0.0000, 0.0000, 0.4697], [0.3333, 0.6667, 0.2818], [0.3333, 0.6667, 0.6575], [0.0000, 0.0000, 0.6995], [0.3333, 0.6667, 0.0521], [0.3333, 0.6667, 0.1357], [0.0000, 0.0000, 0.6156]],
  "sg": "P3m1"
}


Entry 4:
{
  "formula": "Te3MoWSe",
  "functional": "GGA-PBE",
  "state": "optimized geometry",
  "cell": [[-3.2596, -0.1109, -1.2604], [2.5673, -1.7176, -1.6385], [-7.4230, -32.1019, 22.0210]],
  "species": ["Te", "Te", "Te", "Te", "Te", "Te", "Mo", "Mo", "W", "W", "Se", "Se"],
  "frac_coords": [[0.0000, 0.0000, 0.7038], [0.3333, 0.6667, 0.0477], [0.3333, 0.6667, 0.4231], [0.3333, 0.6667, 0.1402], [0.3333, 0.6667, 0.5162], [0.0000, 0.0000, 0.6113], [0.0000, 0.0000, 0.0939], [0.3333, 0.6667, 0.6576], [0.0000, 0.0000, 0.4696], [0.3333, 0.6667, 0.2818], [0.0000, 0.0000, 0.3228], [0.0000, 0.0000, 0.2408]],
  "sg": "P3m1"
}


Entry 5:
{
  "formula": "Te3MoWSe",
  "functional": "GGA-PBE",
  "state": "optimized geometry",
  "cell": [[1.7485, -3.0285, 0.0000], [1.7485, 3.0285, 0.0000], [0.0000, 0.0000, 39.6407]],
  "species": ["Te", "Te", "Te", "Te", "Te", "Te", "Mo", "Mo", "W", "W", "Se", "Se"],
  "frac_coords": [[0.0000, 0.0000, 0.3283], [0.3333, 0.6667, 0.0477], [0.3333, 0.6667, 0.4234], [0.3333, 0.6667, 0.1402], [0.3333, 0.6667, 0.5159], [0.0000, 0.0000, 0.2353], [0.0000, 0.0000, 0.0939], [0.0000, 0.0000, 0.4697], [0.3333, 0.6667, 0.2818], [0.3333, 0.6667, 0.6575], [0.0000, 0.0000, 0.6985], [0.0000, 0.0000, 0.6166]],
  "sg": "P3m1"
}


Entry 6:
{
  "formula": "Te2MoWSe2",
  "functional": "GGA-PBE",
  "state": "optimized geometry",
  "cell": [[1.7217, -2.9820, 0.0000], [1.7217, 2.9820, 0.0000], [0.0000, 0.0000, 39.1429]],
  "species": ["Te", "Te", "Te", "Te", "Mo", "Mo", "W", "W", "Se", "Se", "Se", "Se"],
  "frac_coords": [[0.0000, 0.0000, 0.7052], [0.3333, 0.6667, 0.4220], [0.3333, 0.6667, 0.5173], [0.0000, 0.0000, 0.6099], [0.0000, 0.0000, 0.0939], [0.3333, 0.6667, 0.2818], [0.0000, 0.0000, 0.4696], [0.3333, 0.6667, 0.6576], [0.0000, 0.0000, 0.3236], [0.3333, 0.6667, 0.0521], [0.3333, 0.6667, 0.1357], [0.0000, 0.0000, 0.2400]],
  "sg": "P3m1"
}


Entry 7:
{
  "formula": "TeMoWSe3",
  "functional": "GGA-PBE",
  "state": "optimized geometry",
  "cell": [[2.3247, -0.0016, 2.4581], [-3.2805, 0.2919, 0.7744], [-2.7913, -38.3009, 2.6145]],
  "species": ["Te", "Te", "Mo", "Mo", "W", "W", "Se", "Se", "Se", "Se", "Se", "Se"],
  "frac_coords": [[0.3333, 0.6667, 0.3309], [0.3333, 0.6667, 0.2327], [0.3333, 0.6667, 0.0939], [0.3333, 0.6667, 0.4697], [0.6667, 0.3333, 0.2818], [0.6667, 0.3333, 0.6575], [0.3333, 0.6667, 0.7007], [0.6667, 0.3333, 0.0509], [0.6667, 0.3333, 0.4267], [0.6667, 0.3333, 0.1369], [0.6667, 0.3333, 0.5127], [0.3333, 0.6667, 0.6144]],
  "sg": "P3m1"
}


Entry 8:
{
  "formula": "Te4MoW3Se4",
  "functional": "GGA-PBE",
  "state": "optimized geometry",
  "cell": [[-1.6083, 3.0171, -0.3499], [0.3779, -2.0711, -2.7166], [-34.1608, -17.2364, 8.3883]],
  "species": ["Te", "Te", "Te", "Te", "Mo", "W", "W", "W", "Se", "Se", "Se", "Se"],
  "frac_coords": [[0.0000, 0.0000, 0.3295], [0.3333, 0.6667, 0.0466], [0.3333, 0.6667, 0.1412], [0.0000, 0.0000, 0.2342], [0.0000, 0.0000, 0.0939], [0.0000, 0.0000, 0.4697], [0.3333, 0.6667, 0.2818], [0.3333, 0.6667, 0.6575], [0.0000, 0.0000, 0.6995], [0.3333, 0.6667, 0.4277], [0.3333, 0.6667, 0.5116], [0.0000, 0.0000, 0.6156]],
  "sg": "P3m1"
}


Entry 9:
{
  "formula": "TeMoWSe3",
  "functional": "GGA-PBE",
  "state": "optimized geometry",
  "cell": [[1.6910, -2.9289, 0.0000], [1.6910, 2.9289, 0.0000], [0.0000, 0.0000, 38.5894]],
  "species": ["Te", "Te", "Mo", "Mo", "W", "W", "Se", "Se", "Se", "Se", "Se", "Se"],
  "frac_coords": [[0.3333, 0.6667, 0.7065], [0.3333, 0.6667, 0.6086], [0.3333, 0.6667, 0.0939], [0.3333, 0.6667, 0.4696], [0.6667, 0.3333, 0.2818], [0.6667, 0.3333, 0.6575], [0.3333, 0.6667, 0.3248], [0.6667, 0.3333, 0.0511], [0.6667, 0.3333, 0.4268], [0.6667, 0.3333, 0.1368], [0.6667, 0.3333, 0.5125], [0.3333, 0.6667, 0.2388]],
  "sg": "P3m1"
}


Entry 10:
{
  "formula": "Te2MoWSe2",
  "functional": "GGA-PBE",
  "state": "optimized geometry",
  "cell": [[1.7181, -2.9758, 0.0000], [1.7181, 2.9758, 0.0000], [0.0000, 0.0000, 39.1467]],
  "species": ["Te", "Te", "Te", "Te", "Mo", "Mo", "W", "W", "Se", "Se", "Se", "Se"],
  "frac_coords": [[0.0000, 0.0000, 0.3293], [0.3333, 0.6667, 0.0465], [0.3333, 0.6667, 0.1414], [0.0000, 0.0000, 0.2344], [0.0000, 0.0000, 0.0939], [0.3333, 0.6667, 0.2818], [0.0000, 0.0000, 0.4697], [0.3333, 0.6667, 0.6575], [0.0000, 0.0000, 0.6995], [0.3333, 0.6667, 0.4276], [0.3333, 0.6667, 0.5117], [0.0000, 0.0000, 0.6155]],
  "sg": "P3m1"
}


Entry 11:
{
  "formula": "Te3MoWSe",
  "functional": "GGA-PBE",
  "state": "optimized geometry",
  "cell": [[1.7484, -3.0284, 0.0000], [1.7484, 3.0284, 0.0000], [0.0000, 0.0000, 39.6165]],
  "species": ["Te", "Te", "Te", "Te", "Te", "Te", "Mo", "Mo", "W", "W", "Se", "Se"],
  "frac_coords": [[0.0000, 0.0000, 0.3281], [0.0000, 0.0000, 0.7041], [0.3333, 0.6667, 0.0477], [0.3333, 0.6667, 0.1402], [0.0000, 0.0000, 0.2355], [0.0000, 0.0000, 0.6110], [0.0000, 0.0000, 0.0939], [0.3333, 0.6667, 0.2818], [0.0000, 0.0000, 0.4697], [0.3333, 0.6667, 0.6575], [0.3333, 0.6667, 0.4287], [0.3333, 0.6667, 0.5106]],
  "sg": "P3m1"
}


Entry 12:
{
  "formula": "Te2MoWSe2",
  "functional": "GGA-PBE",
  "state": "optimized geometry",
  "cell": [[1.7190, -2.9774, 0.0000], [1.7190, 2.9774, 0.0000], [0.0000, 0.0000, 39.1395]],
  "species": ["Te", "Te", "Te", "Te", "Mo", "Mo", "W", "W", "Se", "Se", "Se", "Se"],
  "frac_coords": [[0.0000, 0.0000, 0.3295], [0.3333, 0.6667, 0.0465], [0.3333, 0.6667, 0.1413], [0.0000, 0.0000, 0.2342], [0.0000, 0.0000, 0.0939], [0.0000, 0.0000, 0.4697], [0.3333, 0.6667, 0.2818], [0.3333, 0.6667, 0.6575], [0.0000, 0.0000, 0.6995], [0.3333, 0.6667, 0.4278], [0.3333, 0.6667, 0.5115], [0.0000, 0.0000, 0.6156]],
  "sg": "P3m1"
}


Entry 13:
{
  "formula": "Te2MoWSe2",
  "functional": "GGA-PBE",
  "state": "optimized geometry",
  "cell": [[1.7209, -2.9807, 0.0000], [1.7209, 2.9807, 0.0000], [0.0000, 0.0000, 24.4289]],
  "species": ["Te", "Te", "Mo", "W", "Se", "Se"],
  "frac_coords": [[0.6667, 0.3333, 0.0741], [0.6667, 0.3333, 0.2268], [0.6667, 0.3333, 0.4514], [0.3333, 0.6667, 0.1505], [0.3333, 0.6667, 0.5184], [0.3333, 0.6667, 0.3844]],
  "sg": "P3m1"
}


Entry 14:
{
  "formula": "TeMoWSe3",
  "functional": "GGA-PBE",
  "state": "optimized geometry",
  "cell": [[1.6904, -2.9278, 0.0000], [1.6904, 2.9278, 0.0000], [0.0000, 0.0000, 38.5173]],
  "species": ["Te", "Te", "Mo", "Mo", "W", "W", "Se", "Se", "Se", "Se", "Se", "Se"],
  "frac_coords": [[0.3333, 0.6667, 0.3307], [0.3333, 0.6667, 0.2329], [0.3333, 0.6667, 0.0939], [0.6667, 0.3333, 0.2818], [0.3333, 0.6667, 0.4697], [0.6667, 0.3333, 0.6575], [0.3333, 0.6667, 0.7007], [0.6667, 0.3333, 0.0509], [0.6667, 0.3333, 0.4265], [0.6667, 0.3333, 0.1369], [0.6667, 0.3333, 0.5128], [0.3333, 0.6667, 0.6144]],
  "sg": "P3m1"
}


Entry 15:
{
  "formula": "Te2MoWSe2",
  "functional": "GGA-PBE",
  "state": "optimized geometry",
  "cell": [[1.7188, -2.9771, 0.0000], [1.7188, 2.9771, 0.0000], [0.0000, 0.0000, 39.1434]],
  "species": ["Te", "Te", "Te", "Te", "Mo", "Mo", "W", "W", "Se", "Se", "Se", "Se"],
  "frac_coords": [[0.0000, 0.0000, 0.7052], [0.3333, 0.6667, 0.4223], [0.3333, 0.6667, 0.5170], [0.0000, 0.0000, 0.6099], [0.0000, 0.0000, 0.4696], [0.3333, 0.6667, 0.2818], [0.0000, 0.0000, 0.0939], [0.3333, 0.6667, 0.6576], [0.0000, 0.0000, 0.3236], [0.3333, 0.6667, 0.0520], [0.3333, 0.6667, 0.1358], [0.0000, 0.0000, 0.2400]],
  "sg": "P3m1"
}


Entry 16:
{
  "formula": "Te4MoW3Se4",
  "functional": "GGA-PBE",
  "state": "optimized geometry",
  "cell": [[1.7196, -2.9784, 0.0000], [1.7196, 2.9784, 0.0000], [0.0000, 0.0000, 39.2083]],
  "species": ["Te", "Te", "Te", "Te", "Mo", "W", "W", "W", "Se", "Se", "Se", "Se"],
  "frac_coords": [[0.0000, 0.0000, 0.3293], [0.3333, 0.6667, 0.4221], [0.3333, 0.6667, 0.5173], [0.0000, 0.0000, 0.2342], [0.0000, 0.0000, 0.0939], [0.0000, 0.0000, 0.4697], [0.3333, 0.6667, 0.2818], [0.3333, 0.6667, 0.6576], [0.0000, 0.0000, 0.6994], [0.3333, 0.6667, 0.0522], [0.3333, 0.6667, 0.1357], [0.0000, 0.0000, 0.6157]],
  "sg": "P3m1"
}


Entry 17:
{
  "formula": "Te4MoW3Se4",
  "functional": "GGA-PBE",
  "state": "optimized geometry",
  "cell": [[1.7189, -2.9773, 0.0000], [1.7189, 2.9773, 0.0000], [0.0000, 0.0000, 39.1576]],
  "species": ["Te", "Te", "Te", "Te", "Mo", "W", "W", "W", "Se", "Se", "Se", "Se"],
  "frac_coords": [[0.3333, 0.6667, 0.3292], [0.3333, 0.6667, 0.7053], [0.3333, 0.6667, 0.2344], [0.3333, 0.6667, 0.6098], [0.6667, 0.3333, 0.2818], [0.3333, 0.6667, 0.0939], [0.3333, 0.6667, 0.4697], [0.6667, 0.3333, 0.6575], [0.6667, 0.3333, 0.0520], [0.6667, 0.3333, 0.4277], [0.6667, 0.3333, 0.1359], [0.6667, 0.3333, 0.5116]],
  "sg": "P3m1"
}


Entry 18:
{
  "formula": "Te2MoWSe2",
  "functional": "GGA-PBE",
  "state": "optimized geometry",
  "cell": [[-2.2232, 2.5873, 0.4251], [0.9375, -0.9581, -3.1655], [-29.7335, -25.3638, -1.1288]],
  "species": ["Te", "Te", "Te", "Te", "Mo", "Mo", "W", "W", "Se", "Se", "Se", "Se"],
  "frac_coords": [[0.0000, 0.0000, 0.3295], [0.0000, 0.0000, 0.7050], [0.0000, 0.0000, 0.2341], [0.0000, 0.0000, 0.6101], [0.0000, 0.0000, 0.0939], [0.3333, 0.6667, 0.6575], [0.0000, 0.0000, 0.4697], [0.3333, 0.6667, 0.2818], [0.3333, 0.6667, 0.0521], [0.3333, 0.6667, 0.4277], [0.3333, 0.6667, 0.1357], [0.3333, 0.6667, 0.5116]],
  "sg": "P3m1"
}


Entry 19:
{
  "formula": "Te4MoW3Se4",
  "functional": "GGA-PBE",
  "state": "optimized geometry",
  "cell": [[-2.9314, -1.2951, -1.2503], [1.8901, -1.8407, 2.2076], [-19.7188, 15.6976, 29.9712]],
  "species": ["Te", "Te", "Te", "Te", "Mo", "W", "W", "W", "Se", "Se", "Se", "Se"],
  "frac_coords": [[0.3333, 0.6667, 0.7052], [0.6667, 0.3333, 0.0463], [0.6667, 0.3333, 0.1416], [0.3333, 0.6667, 0.6099], [0.6667, 0.3333, 0.2818], [0.3333, 0.6667, 0.0939], [0.3333, 0.6667, 0.4696], [0.6667, 0.3333, 0.6575], [0.3333, 0.6667, 0.3236], [0.6667, 0.3333, 0.4278], [0.6667, 0.3333, 0.5115], [0.3333, 0.6667, 0.2400]],
  "sg": "P3m1"
}


Entry 20:
{
  "formula": "Te4MoW3Se4",
  "functional": "GGA-PBE",
  "state": "optimized geometry",
  "cell": [[1.7187, -2.9768, 0.0000], [1.7187, 2.9768, 0.0000], [0.0000, 0.0000, 39.2087]],
  "species": ["Te", "Te", "Te", "Te", "Mo", "W", "W", "W", "Se", "Se", "Se", "Se"],
  "frac_coords": [[0.3333, 0.6667, 0.3291], [0.6667, 0.3333, 0.4221], [0.6667, 0.3333, 0.5173], [0.3333, 0.6667, 0.2344], [0.6667, 0.3333, 0.2818], [0.3333, 0.6667, 0.0939], [0.3333, 0.6667, 0.4697], [0.6667, 0.3333, 0.6575], [0.3333, 0.6667, 0.6994], [0.6667, 0.3333, 0.0520], [0.6667, 0.3333, 0.1358], [0.3333, 0.6667, 0.6156]],
  "sg": "P3m1"
}


Ordered E results: -6.5478; -6.5669; -6.5472; -6.3961; -6.3961; -6.5276; -6.7126; -6.6943; -6.7128; -6.5672; -6.3973; -6.5477; -6.5276; -6.7327; -6.5473; -6.6742; -6.6941; -6.5476; -6.6747; -6.6937; unit eV per atom.
Ordered distance to the lowest polymorph of the same formula results: 19; 0; 20; 1; 1; 40; 20; 0; 20; 0; 0; 20; 40; 0; 20; 20; 0; 20; 20; 1; unit meV/atom.